Compound: Na5Ga3SnP6O24
Source: Materials Project
Functional: PBE
Structure: relaxed

Output
SG: No. 1
E_form: -2546 meV per atom

abc: 8.7407 8.7374 22.0573
angles: 89.93 89.99 120.01
Element x y z (fractional)
O  0.1233  0.6373  0.3581
O  0.9743  0.1638  0.5914
O  0.9635  0.7944  0.8048
Sn  0.6645  0.3327  0.4791
Na  0.9975  0.3621  0.7490
Na  0.3332  0.6658  0.6633
Na  0.0008  0.6348  0.2527
O  0.8813  0.5097  0.1418
O  0.8117  0.8378  0.9110
P  0.6638  0.0375  0.0854
Ga  0.3333  0.6666  0.3211
O  0.1628  0.6842  0.7538
O  0.6427  0.1410  0.4200
O  0.7092  0.1614  0.0297
O  0.5431  0.6966  0.9749
P  0.7107  0.7105  0.2498
P  0.2903  0.2836  0.7505
O  0.5429  0.8467  0.4746
Na  0.3656  0.3665  0.2530
P  0.9997  0.2896  0.2499
Ga  0.3326  0.6730  0.0151
O  0.7088  0.5471  0.5297
O  0.5274  0.8313  0.7542
O  0.1840  0.1682  0.0909
O  0.6896  0.5222  0.2431
O  0.0263  0.8363  0.4106
O  0.4988  0.3588  0.4197
O  0.1162  0.4819  0.8587
O  0.2087  0.0404  0.3055
O  0.8327  0.3109  0.2433
P  0.2894  0.9999  0.2506
O  0.2999  0.8436  0.9738
O  0.1431  0.5034  0.5771
Na  0.6660  0.6995  0.0823
P  0.6305  0.6723  0.9177
O  0.3695  0.8861  0.8597
O  0.8320  0.0199  0.0908
P  0.9624  0.3335  0.5851
Ga  0.3326  0.6603  0.5143
O  0.5141  0.8763  0.3580
Na  0.0322  0.7009  0.5821
Ga  0.0073  0.0063  0.6493
Ga  0.6654  0.3316  0.1830
O  0.4526  0.2965  0.0285
O  0.5011  0.8516  0.0777
Ga  0.6593  0.3270  0.6835
O  0.8331  0.7938  0.3041
O  0.8100  0.9732  0.4104
O  0.1723  0.9593  0.1936
O  0.4504  0.1552  0.5270
P  0.7132  0.0037  0.7493
O  0.1655  0.4775  0.2559
P  0.3720  0.0415  0.5844
O  0.8303  0.0373  0.8050
O  0.2074  0.1749  0.8075
P  0.0417  0.3697  0.9179
O  0.0249  0.1881  0.9115
P  0.9991  0.7125  0.7492
O  0.7884  0.9639  0.6916
O  0.1625  0.9744  0.9111
O  0.5230  0.6889  0.2558
O  0.1716  0.2105  0.6942
O  0.4954  0.1223  0.6394
O  0.8336  0.5231  0.7440
O  0.8811  0.3716  0.6420
O  0.0306  0.8204  0.6907
O  0.1543  0.4569  0.9750
P  0.0453  0.6714  0.4164
O  0.3122  0.8344  0.2566
P  0.6264  0.9548  0.4162
O  0.3543  0.8553  0.5777
P  0.9633  0.6301  0.0850
O  0.3628  0.4845  0.3565
O  0.8593  0.5010  0.4205
O  0.8575  0.3556  0.9218
Na  0.6656  0.9669  0.5819
O  0.8393  0.5486  0.0294
Na  0.6663  0.3333  0.3363
P  0.6636  0.6255  0.5854
O  0.7861  0.8239  0.1913
Na  0.0323  0.3313  0.0825
P  0.3283  0.3740  0.4154
Sn  0.6653  0.3324  0.9799
O  0.6339  0.5134  0.6430
O  0.4971  0.1432  0.9218
O  0.4797  0.3143  0.7438
Na  0.0081  0.9991  0.9961
O  0.3549  0.4994  0.0782
O  0.8387  0.2909  0.5293
Na  0.6335  0.9994  0.2526
O  0.6948  0.1701  0.7430
O  0.6454  0.5026  0.9214
O  0.9607  0.1669  0.3042
P  0.3277  0.9585  0.9178
O  0.6330  0.1196  0.1428
O  0.1850  0.0164  0.5908
Ga  0.0025  0.0008  0.8537
O  0.4774  0.1672  0.2433
Na  0.0085  0.0093  0.4963
Sn  0.3339  0.6724  0.8165
Na  0.6577  0.3236  0.8334
O  0.1635  0.1899  0.4100
O  0.5010  0.6491  0.5776
O  0.8318  0.8121  0.5906
O  0.5176  0.6342  0.8588
O  0.1432  0.6394  0.0772
O  0.4906  0.3705  0.1416
O  0.3014  0.4591  0.4721
Ga  0.0055  0.9992  0.1502
Ga  0.0005  0.0001  0.3553
Na  0.6390  0.6332  0.7488
O  0.0372  0.2142  0.1913
O  0.9745  0.8109  0.0912
O  0.3113  0.4759  0.7550
Na  0.3324  0.6743  0.1659
P  0.3708  0.3301  0.0850
O  0.1539  0.6969  0.4746

Compound: Na3GaSn3P6O24
Source: Materials Project
Functional: PBE
Structure: relaxed

Output
SG: No. 1
E_form: -2529 meV per atom

abc: 8.7347 8.7294 22.6369
angles: 89.98 90.02 120.14
Element x y z (fractional)
O  0.9750  0.1676  0.5891
O  0.4928  0.1274  0.6395
Na  0.0005  0.9946  0.4990
O  0.5005  0.8591  0.0784
O  0.6852  0.5201  0.2435
P  0.6664  0.6217  0.5855
P  0.7095  0.0070  0.7495
O  0.8596  0.4980  0.4230
Sn  0.3331  0.6668  0.0209
O  0.8247  0.7919  0.3061
O  0.3681  0.4870  0.3598
O  0.1175  0.4867  0.8609
O  0.6351  0.5103  0.6412
O  0.9593  0.7845  0.8045
O  0.8489  0.2993  0.5260
P  0.0422  0.6736  0.4166
O  0.5266  0.8313  0.7560
O  0.5476  0.8448  0.4722
O  0.8310  0.3090  0.2433
Sn  0.3289  0.6672  0.8155
Sn  0.0011  0.0014  0.8529
P  0.6247  0.6658  0.9167
O  0.8460  0.5480  0.0274
O  0.7861  0.8228  0.1950
O  0.4999  0.6407  0.5785
O  0.8324  0.8088  0.5895
O  0.2937  0.4532  0.4707
O  0.3586  0.8589  0.5787
O  0.9682  0.1788  0.3080
P  0.9542  0.6210  0.0849
O  0.7021  0.1538  0.0275
O  0.3088  0.8348  0.2557
Na  0.6670  0.3334  0.3302
O  0.8725  0.5070  0.1394
P  0.9921  0.2867  0.2513
O  0.0231  0.8363  0.4089
O  0.4747  0.1707  0.2433
O  0.1627  0.1904  0.4090
Na  0.0000  0.0000  0.0012
Sn  0.6668  0.3332  0.9823
O  0.6897  0.1693  0.7422
Sn  0.9983  0.9981  0.1473
O  0.1767  0.2137  0.6947
Sn  0.3344  0.6685  0.5201
Na  0.6671  0.3280  0.8329
O  0.2095  0.0384  0.3054
Na  0.6364  0.6328  0.7487
O  0.1912  0.1675  0.0895
P  0.3783  0.0449  0.5851
O  0.5225  0.6841  0.2563
O  0.5436  0.7011  0.9712
Sn  0.6622  0.3336  0.4825
Ga  0.6724  0.3327  0.1840
O  0.5109  0.8814  0.3617
Na  0.3283  0.6673  0.6656
O  0.7019  0.5475  0.5285
O  0.6498  0.1459  0.4228
Na  0.3330  0.6722  0.1654
P  0.0407  0.3749  0.9173
Ga  0.6670  0.3275  0.6840
O  0.8292  0.5236  0.7423
O  0.2980  0.8434  0.9720
O  0.8149  0.9830  0.4094
O  0.1680  0.4722  0.2566
O  0.0238  0.1909  0.9111
O  0.8325  0.0247  0.0895
P  0.3786  0.3331  0.0852
O  0.1415  0.4998  0.5781
O  0.4533  0.2987  0.0283
O  0.6339  0.1273  0.1395
O  0.1567  0.4548  0.9721
P  0.6670  0.0460  0.0850
O  0.1663  0.6900  0.7554
O  0.1917  0.0240  0.5893
O  0.5001  0.3574  0.4222
P  0.7139  0.7088  0.2508
O  0.3592  0.4997  0.0784
O  0.2144  0.1784  0.8053
O  0.1546  0.7019  0.4722
O  0.5003  0.1439  0.9224
O  0.8716  0.3658  0.6386
Sn  0.0013  0.0014  0.6468
O  0.8213  0.0352  0.8053
O  0.4897  0.3649  0.1412
Na  0.9695  0.2992  0.4151
P  0.2943  0.2901  0.7494
O  0.1770  0.9648  0.1947
O  0.4509  0.1532  0.5277
O  0.8091  0.8331  0.9106
P  0.3341  0.9591  0.9172
P  0.9988  0.7054  0.7491
P  0.2910  0.0023  0.2505
Na  0.3668  0.3631  0.2482
O  0.1405  0.6410  0.0784
P  0.3322  0.3718  0.4158
O  0.8565  0.3567  0.9224
P  0.9549  0.3338  0.5846
P  0.6283  0.9573  0.4165
O  0.0406  0.2133  0.1965
Sn  0.3342  0.6727  0.3138
O  0.9759  0.8081  0.0891
O  0.7855  0.9587  0.6954
O  0.0358  0.8233  0.6945
O  0.1179  0.6246  0.3624
O  0.6424  0.4995  0.9221
O  0.4812  0.3162  0.7425
O  0.3164  0.4790  0.7558
O  0.5153  0.6322  0.8591
Ga  0.9991  0.9929  0.3495
O  0.1669  0.9756  0.9108
O  0.3697  0.8825  0.8609

Compound: Na6Ta3Ga5P12O48
Source: Materials Project
Functional: PBE
Structure: relaxed

Output
SG: No. 1
E_form: -2735 meV per atom

abc: 17.3234 8.6633 22.3308
angles: 90.04 89.97 120.01
Element x y z (fractional)
O  0.0132  0.8331  0.4087
O  0.4890  0.1671  0.5906
P  0.4759  0.6259  0.0818
O  0.0700  0.4984  0.5754
O  0.5194  0.8320  0.6950
O  0.3500  0.5405  0.5269
O  0.2450  0.1202  0.6421
O  0.7503  0.1444  0.9239
Na  0.6840  0.3670  0.2494
O  0.7679  0.8374  0.4720
O  0.0853  0.9633  0.1942
O  0.1831  0.4921  0.3601
O  0.0946  0.0226  0.5908
P  0.1705  0.9602  0.9159
P  0.6467  0.2940  0.7481
Ga  0.6692  0.6661  0.8170
O  0.1825  0.8756  0.8586
P  0.1434  0.9969  0.2490
Na  0.4998  0.9998  0.5039
Ga  0.3331  0.3386  0.6809
P  0.3370  0.6223  0.5833
O  0.0830  0.6904  0.7575
O  0.0135  0.1938  0.9090
O  0.5700  0.4982  0.5754
P  0.6888  0.0519  0.5837
O  0.2379  0.3041  0.7442
P  0.0003  0.2905  0.2478
O  0.5946  0.0226  0.5907
Na  0.9990  0.9985  0.0042
O  0.9280  0.4997  0.4239
O  0.4029  0.9733  0.4087
Na  0.1832  0.9994  0.7483
O  0.4836  0.1708  0.3056
O  0.2611  0.6894  0.2573
P  0.5203  0.3815  0.9161
O  0.6509  0.4652  0.4712
Ta  0.6684  0.6673  0.0230
O  0.4849  0.7983  0.8055
O  0.4198  0.3005  0.5277
O  0.4198  0.5390  0.0269
O  0.4882  0.8102  0.0908
Na  0.9994  0.3658  0.7482
O  0.9168  0.3119  0.2439
O  0.9854  0.1714  0.3050
O  0.0847  0.2080  0.6950
Na  0.6694  0.6660  0.6667
O  0.8144  0.5075  0.6403
Ga  0.8330  0.3387  0.6809
O  0.4163  0.3077  0.2426
Ga  0.4991  0.9986  0.6449
O  0.5835  0.1938  0.4088
Ga  0.8331  0.3327  0.9832
O  0.2479  0.3652  0.1386
O  0.2504  0.3558  0.4242
O  0.6792  0.8603  0.5755
O  0.5836  0.9735  0.9092
O  0.0816  0.6981  0.4713
Na  0.8331  0.3274  0.3355
O  0.3495  0.1600  0.0268
O  0.9890  0.1670  0.5906
O  0.6508  0.8362  0.9714
O  0.0949  0.1666  0.0909
O  0.9030  0.8326  0.9090
O  0.2596  0.8336  0.7574
O  0.1536  0.8318  0.2574
O  0.9850  0.7983  0.8055
O  0.3974  0.9662  0.6942
O  0.9150  0.0318  0.8051
O  0.8458  0.1669  0.7446
Ta  0.9995  0.0025  0.3553
P  0.3539  0.9955  0.7479
O  0.0624  0.6351  0.3584
O  0.6526  0.4762  0.7579
O  0.8222  0.4994  0.9243
Ta  0.1655  0.6664  0.0225
P  0.9982  0.7077  0.7479
O  0.2504  0.8608  0.0759
P  0.6456  0.9958  0.2481
P  0.0202  0.6592  0.4157
O  0.9161  0.5197  0.7441
O  0.7510  0.6420  0.5751
O  0.9168  0.0224  0.0899
O  0.0839  0.1940  0.4092
P  0.6707  0.3822  0.4156
O  0.5813  0.6986  0.4720
Ga  0.3333  0.3336  0.4826
P  0.5204  0.6578  0.4161
O  0.6789  0.4973  0.0750
O  0.1015  0.1704  0.8051
O  0.7512  0.8606  0.0747
Na  0.3332  0.3383  0.8351
O  0.1020  0.0322  0.3056
O  0.4399  0.3693  0.6421
O  0.7540  0.8737  0.3602
O  0.5847  0.2080  0.6950
O  0.5133  0.8320  0.4090
O  0.7596  0.8335  0.7574
Ga  0.3337  0.3337  0.9813
O  0.9897  0.8124  0.0905
O  0.7379  0.3041  0.7441
O  0.4161  0.5196  0.7441
Ga  0.8335  0.3341  0.4825
O  0.3458  0.1669  0.7446
O  0.4168  0.8105  0.5904
O  0.3972  0.8274  0.1934
Ga  0.6667  0.6739  0.3162
O  0.4142  0.7969  0.3053
O  0.9203  0.5399  0.0273
Na  0.4995  0.3659  0.7483
O  0.0818  0.4652  0.9713
O  0.6823  0.4897  0.3583
O  0.2538  0.6333  0.8604
O  0.5131  0.1937  0.9089
O  0.5697  0.6401  0.0759
Ga  0.8329  0.3254  0.1833
O  0.7368  0.1707  0.2440
O  0.8501  0.1591  0.0264
O  0.4030  0.8326  0.9092
O  0.2511  0.6421  0.5752
O  0.6543  0.8306  0.2575
Ga  0.1691  0.6651  0.3162
O  0.1526  0.4761  0.7579
O  0.2304  0.1604  0.5277
P  0.5014  0.2902  0.2492
Ga  0.9978  0.0000  0.1470
O  0.0825  0.4790  0.2572
O  0.7304  0.1603  0.5277
Na  0.3333  0.3336  0.3376
O  0.8460  0.5246  0.2443
O  0.9395  0.5097  0.1416
O  0.5631  0.6329  0.3601
O  0.1802  0.4995  0.0759
P  0.8089  0.9600  0.4163
P  0.9736  0.6229  0.0841
Na  0.8329  0.3380  0.8355
Na  0.1683  0.6656  0.1695
O  0.7501  0.3560  0.4239
O  0.9399  0.3692  0.6421
O  0.6015  0.1705  0.8051
O  0.7299  0.3002  0.0274
O  0.3176  0.1316  0.1387
O  0.8975  0.9663  0.6943
O  0.4168  0.0229  0.0912
O  0.2533  0.8732  0.3599
Na  0.5009  0.0015  0.0039
O  0.7450  0.1203  0.6421
O  0.4276  0.4993  0.4241
O  0.4149  0.0317  0.8051
O  0.8970  0.8271  0.1939
Ta  0.6669  0.6670  0.5227
O  0.9154  0.7982  0.3049
O  0.2504  0.1444  0.9240
Na  0.1694  0.6661  0.6666
P  0.6707  0.9598  0.9162
O  0.1512  0.8372  0.9713
O  0.5830  0.6903  0.7574
O  0.0623  0.4902  0.8587
O  0.2680  0.8374  0.4718
P  0.4743  0.3259  0.5837
Ga  0.1694  0.6660  0.8167
P  0.8535  0.7116  0.2482
Na  0.6677  0.6738  0.1692
P  0.0197  0.3807  0.9158
Ga  0.9992  0.9987  0.6449
P  0.8375  0.0528  0.0835
O  0.0174  0.2059  0.1937
P  0.6888  0.3249  0.0841
P  0.8096  0.6581  0.9162
P  0.4982  0.7078  0.7479
O  0.0194  0.8321  0.6950
Ta  0.4999  0.9990  0.8550
O  0.3220  0.4997  0.9243
P  0.9743  0.3260  0.5837
Na  0.0000  0.9997  0.5038
P  0.1467  0.2938  0.7481
P  0.1887  0.0515  0.5838
P  0.3090  0.9594  0.4159
O  0.7538  0.6335  0.8602
O  0.5864  0.9662  0.1939
P  0.8370  0.6222  0.5833
O  0.9279  0.3565  0.9239
O  0.9198  0.3004  0.5278
O  0.7596  0.6851  0.2573
O  0.8500  0.5405  0.5269
O  0.5816  0.4654  0.9714
Na  0.9994  0.6313  0.2494
O  0.9028  0.9735  0.4091
O  0.5181  0.2072  0.1942
O  0.5618  0.4897  0.8586
Ta  0.1669  0.6668  0.5225
O  0.6008  0.0324  0.3046
O  0.1508  0.4642  0.4720
P  0.1708  0.3818  0.4162
P  0.1869  0.3252  0.0818
O  0.1791  0.8602  0.5754
O  0.3144  0.5075  0.6403
Na  0.6831  0.9994  0.7485
O  0.2677  0.6983  0.9722
O  0.0698  0.6416  0.0747
Ta  0.5002  0.9983  0.3555
Ta  0.3334  0.3355  0.1874
O  0.2306  0.3008  0.0268
O  0.9167  0.8105  0.5904
O  0.5939  0.1661  0.0905
P  0.8538  0.9955  0.7478
O  0.2374  0.1672  0.2425
O  0.5841  0.4747  0.2575
O  0.6824  0.8756  0.8586
P  0.3374  0.0492  0.0821
O  0.7682  0.6985  0.9718
O  0.8143  0.1220  0.1398
P  0.3544  0.7164  0.2487
Ta  0.9996  0.9987  0.8548
O  0.7454  0.3695  0.1416
O  0.0837  0.9736  0.9093
O  0.3221  0.1446  0.4242
Ga  0.5014  0.9998  0.1475
O  0.4346  0.5043  0.1385
O  0.3465  0.5273  0.2422
P  0.3094  0.6590  0.9166
O  0.8221  0.1448  0.4244
O  0.4278  0.3561  0.9239